# HoSbPt

A relaxed HoSbPt crystal (PBE, the Materials Project).

Computed properties:
- Calculated volume: 23.9 Å³ per atom
- Piezoelectric modulus e_max: 0.35 C/m2
- Space group: F-43m (216)
- ΔE_f: -1.217 eV per atom
- E_tot: -6.14 eV per atom

Cell: 4.6643 4.6643 4.6643 Å, 60.00 60.00 60.00°
Last column: nearest neighbours and their distance in Å.
Element x y z (fractional)
Ho1 0.0000 0.0000 0.0000  4 Pt 2.86
Sb1 0.5000 0.5000 0.5000  4 Pt 2.86
Pt1 0.2500 0.2500 0.2500  4 Sb 2.86, 4 Ho 2.86